GGA-PBE Ti17N6O24, relaxed; total energy after the MP2020 corrections = -9.456 eV per atom; formation energy = -290.3 kJ/mol of atoms; crystal system = triclinic; total magnetization = 0.00 μB per formula unit; space group = P-1 (2)
1.0
-1.349 3.708 9.620
-9.091 -5.967 -3.078
7.941 -8.285 -0.260
Ti O N
34 48 12
Direct
0.929 0.249 0.184
0.334 0.943 0.102
0.852 0.425 0.022
0.073 0.748 0.483
0.179 0.077 0.910
0.677 0.072 0.571
0.328 0.930 0.765
0.071 0.751 0.816
0.428 0.251 0.520
0.323 0.928 0.429
0.927 0.252 0.517
0.672 0.070 0.235
0.175 0.072 0.571
0.147 0.573 0.311
0.572 0.749 0.151
0.853 0.428 0.355
0.179 0.076 0.234
0.646 0.577 0.649
0.148 0.575 0.978
0.666 0.057 0.898
0.147 0.572 0.645
0.647 0.577 0.974
0.572 0.749 0.480
0.853 0.427 0.689
0.071 0.750 0.147
0.353 0.423 0.026
0.641 0.553 0.306
0.929 0.250 0.853
0.825 0.928 0.429
0.428 0.251 0.849
0.821 0.923 0.090
0.821 0.924 0.766
0.354 0.423 0.351
0.359 0.447 0.694
0.720 0.064 0.417
0.143 0.382 0.277
0.140 0.377 0.610
0.903 0.435 0.540
0.860 0.623 0.390
0.409 0.438 0.545
0.488 0.891 0.812
0.095 0.564 0.125
0.142 0.381 0.945
0.222 0.063 0.420
0.988 0.880 0.807
0.990 0.882 0.477
0.010 0.118 0.523
0.220 0.066 0.749
0.512 0.118 0.524
0.512 0.109 0.188
0.400 0.449 0.208
0.488 0.882 0.476
0.012 0.120 0.193
0.721 0.061 0.083
0.349 0.611 0.718
0.202 0.052 0.076
0.720 0.062 0.751
0.600 0.551 0.792
0.778 0.937 0.580
0.780 0.934 0.251
0.643 0.380 0.609
0.591 0.562 0.455
0.356 0.619 0.053
0.280 0.938 0.249
0.857 0.618 0.723
0.989 0.881 0.145
0.280 0.936 0.583
0.905 0.436 0.875
0.409 0.438 0.874
0.488 0.877 0.142
0.644 0.381 0.947
0.591 0.562 0.126
0.279 0.939 0.917
0.093 0.563 0.792
0.907 0.437 0.208
0.512 0.123 0.858
0.097 0.565 0.460
0.011 0.119 0.855
0.357 0.620 0.391
0.858 0.619 0.055
0.651 0.389 0.282
0.798 0.948 0.924
0.145 0.751 0.006
0.648 0.751 0.342
0.655 0.750 0.662
0.142 0.750 0.674
0.856 0.250 0.661
0.352 0.249 0.658
0.144 0.750 0.339
0.855 0.249 0.994
0.345 0.250 0.338
0.346 0.251 0.977
0.858 0.250 0.326
0.654 0.749 0.023